Entry 1:
Compound: LiEu3O4
Source: the Materials Project database
Functional: r²SCAN
Structure: optimized geometry

Unit cell a=3.449 b=11.380 c=11.637 alpha=90.00 beta=90.00 gamma=90.00
Positions (direct):
O: 0.750 0.761 0.039
O: 0.250 0.239 0.961
O: 0.250 0.522 0.116
O: 0.250 0.945 0.894
O: 0.750 0.978 0.616
O: 0.750 0.731 0.782
O: 0.250 0.445 0.606
O: 0.250 0.269 0.218
O: 0.750 0.231 0.718
O: 0.750 0.261 0.461
O: 0.250 0.022 0.384
O: 0.750 0.478 0.884
O: 0.750 0.555 0.394
O: 0.750 0.055 0.106
O: 0.250 0.769 0.282
O: 0.250 0.739 0.539
Li: 0.750 0.848 0.904
Li: 0.750 0.348 0.596
Li: 0.250 0.152 0.096
Li: 0.250 0.652 0.404
Eu: 0.250 0.399 0.390
Eu: 0.750 0.868 0.426
Eu: 0.750 0.601 0.610
Eu: 0.250 0.632 0.926
Eu: 0.250 0.859 0.703
Eu: 0.750 0.641 0.203
Eu: 0.750 0.368 0.074
Eu: 0.250 0.899 0.110
Eu: 0.250 0.132 0.574
Eu: 0.750 0.141 0.297
Eu: 0.250 0.359 0.797
Eu: 0.750 0.101 0.890

Output
Symmetry: Pnma
Energy of formation (eV/atom): -2.968


Entry 2:
Compound: LiEuP
Source: the Materials Project database
Functional: r²SCAN
Structure: optimized geometry

Unit cell a=4.323 b=7.260 c=7.789 alpha=90.00 beta=90.00 gamma=90.00
Positions (direct):
Eu: 0.750 0.489 0.799
Eu: 0.250 0.511 0.201
Eu: 0.750 0.989 0.701
Eu: 0.250 0.011 0.299
Li: 0.750 0.348 0.430
Li: 0.750 0.848 0.070
Li: 0.250 0.152 0.930
Li: 0.250 0.652 0.570
P: 0.250 0.775 0.903
P: 0.750 0.725 0.403
P: 0.750 0.225 0.097
P: 0.250 0.275 0.597

Output
Symmetry: Pnma
Energy of formation (eV/atom): -1.169


Entry 3:
Compound: LiEuSb
Source: the Materials Project database
Functional: r²SCAN
Structure: optimized geometry

Unit cell a=4.785 b=7.860 c=8.359 alpha=90.00 beta=90.00 gamma=90.00
Positions (direct):
Sb: 0.250 0.774 0.093
Sb: 0.750 0.726 0.593
Sb: 0.750 0.226 0.907
Sb: 0.250 0.274 0.407
Li: 0.750 0.337 0.577
Li: 0.250 0.163 0.077
Li: 0.250 0.663 0.423
Li: 0.750 0.837 0.923
Eu: 0.750 0.496 0.210
Eu: 0.250 0.004 0.710
Eu: 0.750 0.996 0.290
Eu: 0.250 0.504 0.790

Output
Symmetry: Pnma
Energy of formation (eV/atom): -1.121


Entry 4:
Compound: LiEu2Si3
Source: the Materials Project database
Functional: r²SCAN
Structure: optimized geometry

Unit cell a=4.525 b=7.808 c=7.987 alpha=104.10 beta=106.44 gamma=90.00
Positions (direct):
Si: 0.043 0.147 0.087
Si: 0.957 0.853 0.913
Si: 0.954 0.351 0.906
Si: 0.204 0.709 0.408
Si: 0.046 0.649 0.094
Si: 0.796 0.291 0.592
Eu: 0.610 0.429 0.221
Eu: 0.376 0.063 0.750
Eu: 0.624 0.937 0.250
Eu: 0.390 0.571 0.779
Li: 0.212 0.287 0.425
Li: 0.788 0.713 0.575

Output
Symmetry: C2/m
Energy of formation (eV/atom): -0.580